1.
A relaxed Na2Y4Si3Sn4S9O48 crystal. Source: the Materials Project database, functional PBE.

formation energy from the elements	-2.382	eV/atom
space group	No. 1
VASP energy	-6.704	eV/atom

The structure in POSCAR format:
```
Na2Y4Si3Sn4S9O48
1.0
18.038 -0.042 0.090
-4.528 7.826 0.006
0.113 0.082 23.669
O S Y Sn Si Na
144 27 12 12 9 6
direct
0.843 0.547 0.533
0.115 0.058 0.304
0.066 0.653 0.368
0.897 0.965 0.418
0.758 0.650 0.867
0.476 0.777 0.797
0.750 0.304 0.738
0.511 0.829 0.409
0.743 0.127 0.922
0.737 0.105 0.636
0.979 0.782 0.803
0.937 0.369 0.641
0.078 0.518 0.576
0.256 0.863 0.368
0.592 0.194 0.692
0.266 0.684 0.972
0.101 0.207 0.699
0.249 0.195 0.238
0.939 0.518 0.424
0.492 0.814 0.084
0.094 0.195 0.094
0.501 0.806 0.694
0.679 0.860 0.575
0.897 0.832 0.910
0.227 0.147 0.533
0.396 0.828 0.916
0.979 0.177 0.297
0.073 0.636 0.080
0.072 0.450 0.251
0.773 0.684 0.251
0.078 0.698 0.471
0.011 0.192 0.908
0.253 0.857 0.077
0.152 0.845 0.972
0.653 0.456 0.474
0.069 0.682 0.758
0.271 0.858 0.750
0.688 0.508 0.074
0.423 0.303 0.532
0.768 0.850 0.474
0.177 0.872 0.858
0.615 0.171 0.803
0.092 0.991 0.192
0.907 0.796 0.589
0.576 0.511 0.578
0.076 0.970 0.909
0.413 0.790 0.305
0.578 0.460 0.970
0.179 0.499 0.075
0.163 0.855 0.253
0.664 0.472 0.754
0.917 0.302 0.241
0.272 0.845 0.471
0.822 0.521 0.921
0.157 0.460 0.472
0.599 0.201 0.087
0.855 0.173 0.749
0.396 0.961 0.409
0.852 0.536 0.240
0.072 0.441 0.966
0.407 0.019 0.089
0.475 0.172 0.302
0.174 0.478 0.368
0.311 0.515 0.637
0.814 0.520 0.635
0.899 0.987 0.703
0.916 0.040 0.806
0.007 0.808 0.701
0.568 0.452 0.257
0.408 0.039 0.797
0.341 0.135 0.032
0.599 0.993 0.193
0.354 0.534 0.248
0.113 0.179 0.801
0.754 0.650 0.576
0.611 0.051 0.306
0.101 0.004 0.590
0.441 0.373 0.642
0.565 0.477 0.868
0.087 0.206 0.418
0.898 0.816 0.195
0.567 0.684 0.751
0.933 0.499 0.141
0.675 0.870 0.867
0.750 0.196 0.242
0.515 0.205 0.916
0.762 0.868 0.369
0.726 0.309 0.031
0.424 0.533 0.026
0.321 0.119 0.422
0.248 0.152 0.917
0.934 0.344 0.919
0.996 0.179 0.588
0.822 0.122 0.423
0.488 0.160 0.592
0.438 0.359 0.924
0.187 0.870 0.575
0.242 0.358 0.424
0.587 0.966 0.917
0.668 0.858 0.259
0.164 0.458 0.757
0.240 0.302 0.743
0.759 0.859 0.076
0.004 0.198 0.194
0.573 0.185 0.412
0.658 0.852 0.971
0.394 0.806 0.202
0.912 0.020 0.096
0.562 0.651 0.366
0.398 0.988 0.695
0.314 0.110 0.134
0.924 0.545 0.030
0.261 0.653 0.868
0.237 0.369 0.135
0.850 0.139 0.034
0.988 0.815 0.093
0.062 0.470 0.864
0.411 0.526 0.741
0.240 0.115 0.635
0.594 0.993 0.595
0.923 0.312 0.528
0.572 0.704 0.468
0.434 0.524 0.421
0.775 0.867 0.762
0.411 0.799 0.597
0.321 0.519 0.922
0.739 0.366 0.133
0.576 0.639 0.077
0.747 0.342 0.419
0.346 0.167 0.740
0.217 0.298 0.035
0.272 0.676 0.263
0.349 0.555 0.536
0.813 0.107 0.135
0.915 0.530 0.746
0.502 0.203 0.199
0.679 0.486 0.360
0.718 0.140 0.536
0.259 0.657 0.577
0.772 0.696 0.969
0.436 0.507 0.139
0.910 0.784 0.297
0.414 0.301 0.246
0.016 0.826 0.416
0.166 0.377 0.419
0.834 0.034 0.085
0.811 0.949 0.420
0.858 0.705 0.246
0.683 0.025 0.585
0.330 0.032 0.083
0.310 0.671 0.920
0.334 0.632 0.586
0.994 0.703 0.751
0.491 0.702 0.745
0.021 0.366 0.914
0.524 0.378 0.920
0.688 0.343 0.081
0.183 0.341 0.085
0.994 0.282 0.245
0.152 0.288 0.749
0.356 0.011 0.746
0.189 0.035 0.582
0.829 0.626 0.582
0.360 0.705 0.254
0.811 0.674 0.916
0.312 0.947 0.416
0.522 0.678 0.415
0.667 0.954 0.918
0.492 0.283 0.250
0.024 0.671 0.419
0.861 0.015 0.754
0.507 0.010 0.851
0.662 0.653 0.805
0.668 0.666 0.309
0.163 0.673 0.304
0.169 0.678 0.812
0.006 0.003 0.349
0.327 0.328 0.983
0.841 0.344 0.984
0.999 0.007 0.645
0.503 0.990 0.148
0.341 0.335 0.482
0.827 0.326 0.480
0.834 0.335 0.679
0.658 0.643 0.517
0.514 0.021 0.352
0.832 0.332 0.183
0.665 0.669 0.023
0.506 0.018 0.645
0.005 0.992 0.146
0.159 0.677 0.022
0.337 0.338 0.182
0.165 0.662 0.520
0.003 0.995 0.855
0.337 0.336 0.679
0.653 0.286 0.746
0.665 0.371 0.414
0.480 0.625 0.080
0.166 0.961 0.914
0.653 0.014 0.248
0.982 0.343 0.581
0.980 0.628 0.086
0.153 0.021 0.246
0.483 0.335 0.585
0.826 0.329 0.828
0.495 0.975 0.006
0.329 0.326 0.326
0.814 0.322 0.334
0.994 0.015 0.501
0.324 0.313 0.839
```

---

2.
A relaxed Ba3As14 crystal. Source: the Materials Project database, functional PBE.

formation energy from the elements	-0.456	eV/atom
space group	No. 14
VASP energy	-4.632	eV/atom

The structure in POSCAR format:
```
Ba3As14
1.0
13.950 0.000 0.000
0.000 6.938 0.000
0.000 6.905 10.395
As Ba
28 6
direct
0.354 0.037 0.857
0.781 0.348 0.776
0.719 0.348 0.276
0.919 0.685 0.873
0.219 0.652 0.224
0.280 0.253 0.366
0.854 0.963 0.643
0.419 0.315 0.627
0.940 0.391 0.678
0.281 0.652 0.724
0.146 0.037 0.357
0.081 0.315 0.127
0.646 0.963 0.143
0.000 0.287 0.314
0.314 0.648 0.531
0.814 0.352 0.969
0.060 0.609 0.322
0.000 0.713 0.686
0.686 0.352 0.469
0.560 0.391 0.178
0.720 0.747 0.634
0.220 0.253 0.866
0.500 0.287 0.814
0.440 0.609 0.822
0.500 0.713 0.186
0.186 0.648 0.031
0.581 0.685 0.373
0.780 0.747 0.134
0.658 0.803 0.884
0.500 0.000 0.500
0.158 0.197 0.616
0.342 0.197 0.116
0.842 0.803 0.384
0.000 0.000 0.000
```

---

3.
A relaxed Na2O crystal. Source: the Materials Project database, functional PBE.

formation energy from the elements	-1.361	eV/atom
space group	No. 189
VASP energy	-3.663	eV/atom

The structure in POSCAR format:
```
Na2O
1.0
4.207 3.461 2.935
-6.031 0.927 1.028
0.092 -2.427 2.729
Na O
6 3
direct
0.000 0.412 0.000
0.000 0.739 0.500
0.588 0.588 0.000
0.739 0.000 0.500
0.412 0.000 0.000
0.261 0.261 0.500
0.000 0.000 0.000
0.333 0.667 0.500
0.667 0.333 0.500
```

---

4.
A relaxed BiAsPbO5 crystal. Source: the Materials Project database, functional PBE.

formation energy from the elements	-1.724	eV/atom
space group	No. 12
VASP energy	-5.919	eV/atom

The structure in POSCAR format:
```
BiAsPbO5
1.0
2.812 6.700 0.000
-2.812 6.700 0.000
0.000 2.688 6.725
O As Pb Bi
10 2 2 2
direct
0.591 0.591 0.599
0.198 0.198 0.705
0.802 0.802 0.295
0.394 0.890 0.227
0.764 0.236 0.000
0.110 0.606 0.773
0.606 0.110 0.773
0.409 0.409 0.401
0.890 0.394 0.227
0.236 0.764 0.000
0.665 0.665 0.348
0.335 0.335 0.652
0.338 0.338 0.120
0.662 0.662 0.880
0.013 0.013 0.750
0.987 0.987 0.250
```

---

5.
A relaxed NdSO crystal. Source: the Materials Project database, functional PBE.

formation energy from the elements	-2.944	eV/atom
space group	No. 57
VASP energy	-7.165	eV/atom

The structure in POSCAR format:
```
NdSO
1.0
5.866 0.000 0.000
0.000 5.871 0.000
0.000 0.000 13.038
Nd S O
8 8 8
direct
0.002 0.750 0.912
0.998 0.250 0.088
0.998 0.250 0.412
0.502 0.250 0.588
0.502 0.250 0.912
0.498 0.750 0.088
0.498 0.750 0.412
0.002 0.750 0.588
0.636 0.879 0.750
0.619 0.375 0.250
0.881 0.375 0.750
0.119 0.625 0.250
0.364 0.121 0.250
0.864 0.879 0.250
0.381 0.625 0.750
0.136 0.121 0.750
0.250 0.994 0.500
0.250 0.494 0.500
0.750 0.006 0.000
0.250 0.994 0.000
0.750 0.506 0.500
0.750 0.006 0.500
0.750 0.506 0.000
0.250 0.494 0.000
```

---

6.
A relaxed CoNiTe4 crystal. Source: the Materials Project database, functional PBE.

relative energy among the computed polymorphs	4.2	meV/atom
formation energy from the elements	-0.502	eV/atom
space group	No. 12
VASP energy	-4.464	eV/atom

The structure in POSCAR format:
```
CoNiTe4
1.0
-4.050 -2.344 4.623
-1.373 -0.238 6.429
-4.798 3.878 2.589
Co Te Ni
1 4 1
direct
0.000 0.000 0.000
0.620 0.620 0.042
0.121 0.121 0.552
0.380 0.380 0.958
0.879 0.879 0.448
0.500 0.500 0.500
```